No. 1
Computed, not measured: an optimized crystal structure of Cu3As2O8 at the PBE level of DFT.

As for the final energy: -5.59 eV/atom. The energy relative to the lowest polymorph listed for this composition is 0.032 eV/f.u. The value obtained for the formation energy is -1.31 eV per atom.

It has space group P2_1/c (No. 14), with a = 5.511 Å, b = 11.799 Å, c = 5.158 Å, α = 90.00°, β = 112.16° and γ = 90.00°. Symmetry generates all atoms from Cu at (0.000, 0.000, 0.000), Cu at (0.360, 0.163, 0.746), As at (0.233, 0.614, 0.107), O at (0.043, 0.185, 0.408), O at (0.226, 0.012, 0.790), O at (0.280, 0.582, 0.801) and O at (0.492, 0.187, 0.170).

No. 2
Computed, not measured: an optimized crystal structure of Li3TiB2O6 at the PBE level of DFT.

As for the final energy: -7.13 eV/atom. The total moment comes out at 4.002 μB per cell. The energy relative to the lowest polymorph listed for this composition is 0.000 eV/f.u. The value obtained for the formation energy is -2.75 eV per atom.

It has space group P2_1/c (No. 14), with a = 5.191 Å, b = 8.941 Å, c = 11.183 Å, α = 90.00°, β = 116.95° and γ = 90.00°. Symmetry generates all atoms from Li at (0.012, 0.025, 0.170), Li at (0.052, 0.657, 0.881), Li at (0.423, 0.014, 0.599), Ti at (0.470, 0.668, 0.623), B at (0.043, 0.175, 0.379), B at (0.465, 0.167, 0.130), O at (0.120, 0.183, 0.851), O at (0.193, 0.662, 0.094), O at (0.202, 0.051, 0.380), O at (0.325, 0.673, 0.415), O at (0.346, 0.028, 0.136) and O at (0.368, 0.207, 0.669).